(1)
# Li3In

A geometry-optimized Li3In structure (r²SCAN, the Materials Project).

Cell and atoms, written as POSCAR:
```
Li3In
1.0
4.1615 0.0000 0.0000
0.0000 4.1615 0.0000
0.0000 0.0000 8.4562
Li In
6 2
Cartesian
0.0000 0.0000 0.0000
0.0000 2.0807 2.1140
0.0000 2.0807 6.3421
2.0807 0.0000 2.1140
2.0807 0.0000 6.3421
2.0807 2.0807 4.2281
0.0000 0.0000 4.2281
2.0807 2.0807 0.0000
```

Results
Its total energy is -7.72 eV/atom. The value obtained for the offset from the most stable computed form is 1.11 kJ/mol of atoms. Its symmetry is No. 139. The magnetic moment is 0.0 μB/cell. Its formation energy is -0.2875 eV/atom.



(2)
# Li5In4

A geometry-optimized Li5In4 structure (r²SCAN, the Materials Project).

Cell and atoms, written as POSCAR:
```
Li5In4
1.0
4.7463 0.0000 0.0000
-2.3731 4.1104 0.0000
0.0000 0.0000 8.8432
Li In
5 4
Cartesian
0.0000 0.0000 0.0000
0.0000 2.7403 1.0718
0.0000 2.7403 4.0101
2.3731 1.3701 4.8331
2.3731 1.3701 7.7714
0.0000 0.0000 2.9389
0.0000 0.0000 5.9043
0.0000 2.7403 7.0207
2.3731 1.3701 1.8225
```

Results
Its total energy is -11.75 eV/atom. Its symmetry is No. 164. The magnetic moment is 0.0 μB/cell. Its formation energy is -0.3876 eV/atom.



(3)
# LiIn3

A geometry-optimized LiIn3 structure (r²SCAN, the Materials Project).

Cell and atoms, written as POSCAR:
```
LiIn3
1.0
4.4760 0.0000 0.0000
0.0000 4.4760 0.0000
0.0000 0.0000 9.1860
Li In
2 6
Cartesian
0.0000 0.0000 0.0000
2.2380 2.2380 4.5930
0.0000 0.0000 4.5930
0.0000 2.2380 2.2965
0.0000 2.2380 6.8895
2.2380 0.0000 2.2965
2.2380 0.0000 6.8895
2.2380 2.2380 0.0000
```

Results
Its total energy is -17.73 eV/atom. Its symmetry is No. 139. The magnetic moment is 0.0 μB/cell. Its formation energy is -0.1961 eV/atom.